A plane-wave DFT calculation with PBE was carried out for an optimized crystal structure of PrGeBO5.

Results
Energy of formation in meV per atom: -2959

Lattice parameters (Å, degrees): 12.1936 12.1936 6.8463 90.00 90.00 120.00
Fractional positions:
Pr 0.5285 0.0566 0.6595
Pr 0.9434 0.4719 0.9928
Pr 0.8618 0.1381 0.3301
Pr 0.2763 0.1382 0.9968
Pr 0.1942 0.3905 0.6592
Pr 0.5281 0.4715 0.3262
Pr 0.1963 0.8058 0.3259
Pr 0.6095 0.8037 0.9926
Pr 0.8619 0.7237 0.6635
Ge 0.1944 0.3867 0.1592
Ge 0.6133 0.8077 0.4925
Ge 0.5282 0.0536 0.1591
Ge 0.5254 0.4718 0.8257
Ge 0.9464 0.4746 0.4924
Ge 0.8586 0.1385 0.8316
Ge 0.2799 0.1414 0.4983
Ge 0.8615 0.7201 0.1650
Ge 0.1923 0.8056 0.8258
B 0.0282 0.0722 0.6340
B 0.6948 0.2889 0.3632
B 0.9278 0.9560 0.9673
B 0.5941 0.3052 0.0298
B 0.2609 0.6223 0.9585
B 0.3777 0.6386 0.2919
B 0.0440 0.9718 0.3006
B 0.3614 0.7391 0.6252
B 0.7111 0.4059 0.6965
O 0.0788 0.7693 0.6453
O 0.7494 0.6334 0.3421
O 0.3509 0.2565 0.3183
O 0.6505 0.4874 0.6673
O 0.1704 0.1536 0.6614
O 0.8840 0.2506 0.0088
O 0.9932 0.0300 0.4318
O 0.6550 0.1516 0.3242
O 0.3212 0.8363 0.6643
O 0.2259 0.9198 0.0029
O 0.3270 0.6971 0.4227
O 0.6939 0.7741 0.6696
O 0.5037 0.8216 0.6528
O 0.5150 0.6788 0.3310
O 0.8484 0.5034 0.6576
O 0.1813 0.0108 0.3399
O 0.4966 0.3450 0.9909
O 0.0368 0.0068 0.0985
O 0.9700 0.9632 0.7651
O 0.5126 0.1631 0.0006
O 0.6617 0.2962 0.5668
O 0.5644 0.5875 0.0029
O 0.8295 0.8187 0.0066
O 0.7435 0.0944 0.6517
O 0.3666 0.1160 0.6754
O 0.3029 0.6299 0.7561
O 0.3701 0.6730 0.0894
O 0.8464 0.0169 0.9948
O 0.5580 0.9717 0.9790
O 0.9831 0.8296 0.3281
O 0.2307 0.3095 0.9787
O 0.9892 0.1705 0.6733
O 0.6345 0.3383 0.2335
O 0.0231 0.4356 0.6695
O 0.1637 0.4850 0.9976
O 0.4136 0.4420 0.6457
O 0.7038 0.3655 0.9002
O 0.0283 0.5864 0.3123
O 0.4125 0.9769 0.3362
O 0.6905 0.9212 0.3120
O 0.0802 0.3061 0.3362
O 0.9056 0.6491 0.9850
O 0.8369 0.3495 0.3340
O 0.3180 0.4963 0.3195
O 0.1784 0.6820 0.9862